1.
Zn3In2O6: optimized geometry, GGA-PBE.

Lattice parameters (Å, degrees): 6.843 5.920 14.462 82.19 90.00 90.00
Fractional coordinates of all 44 atoms:
Zn 0.000 0.134 0.594
Zn 0.500 0.134 0.594
Zn 0.505 0.262 0.214
Zn 0.250 0.238 0.785
Zn 0.750 0.641 0.594
Zn 0.250 0.359 0.406
Zn 0.750 0.762 0.215
Zn 0.495 0.738 0.786
Zn 0.500 0.866 0.406
Zn 0.995 0.262 0.214
Zn 0.005 0.738 0.786
Zn 0.000 0.866 0.406
In 0.000 0.000 0.000
In 0.250 0.635 0.591
In 0.250 0.757 0.224
In 0.250 0.498 0.998
In 0.500 0.000 0.000
In 0.750 0.502 0.002
In 0.750 0.243 0.776
In 0.750 0.365 0.409
O 0.250 0.581 0.748
O 0.250 0.691 0.419
O 0.250 0.806 0.075
O 0.000 0.692 0.926
O 0.491 0.079 0.747
O 0.992 0.812 0.578
O 0.492 0.188 0.422
O 0.991 0.921 0.253
O 0.500 0.308 0.074
O 0.250 0.188 0.926
O 0.750 0.599 0.747
O 0.250 0.294 0.579
O 0.750 0.706 0.421
O 0.250 0.401 0.253
O 0.750 0.812 0.074
O 0.500 0.692 0.926
O 0.009 0.079 0.747
O 0.508 0.812 0.578
O 0.008 0.188 0.422
O 0.509 0.921 0.253
O 0.000 0.308 0.074
O 0.750 0.194 0.925
O 0.750 0.309 0.581
O 0.750 0.419 0.252

For the polymorph energy (0 for the lowest one), the calculation gives 0.001 eV per atom.

2.
Zn3In2O6: optimized geometry, GGA-PBE.

Lattice parameters (Å, degrees): 14.303 14.303 14.303 13.88 13.88 13.88
Fractional coordinates of all 11 atoms:
Zn 0.263 0.263 0.263
Zn 0.738 0.738 0.738
Zn 0.131 0.131 0.131
In 0.001 0.001 0.001
In 0.863 0.863 0.863
O 0.915 0.915 0.915
O 0.084 0.084 0.084
O 0.194 0.194 0.194
O 0.810 0.810 0.810
O 0.309 0.309 0.309
O 0.691 0.691 0.691

For the polymorph energy (0 for the lowest one), the calculation gives 0.036 eV per atom.

3.
Zn4In2O7: optimized geometry, GGA-PBE.

Lattice parameters (Å, degrees): 3.437 3.437 33.597 90.00 90.00 120.00
Fractional coordinates of all 26 atoms:
Zn 0.333 0.667 0.409
Zn 0.667 0.333 0.591
Zn 0.667 0.333 0.909
Zn 0.333 0.667 0.091
Zn 0.000 0.000 0.333
Zn 0.000 0.000 0.667
Zn 0.000 0.000 0.833
Zn 0.000 0.000 0.167
In 0.000 0.000 0.500
In 0.000 0.000 0.000
In 0.333 0.667 0.250
In 0.667 0.333 0.750
O 0.000 0.000 0.393
O 0.000 0.000 0.607
O 0.000 0.000 0.893
O 0.000 0.000 0.107
O 0.333 0.667 0.469
O 0.667 0.333 0.531
O 0.667 0.333 0.969
O 0.333 0.667 0.031
O 0.333 0.667 0.316
O 0.667 0.333 0.684
O 0.667 0.333 0.816
O 0.333 0.667 0.184
O 0.000 0.000 0.250
O 0.000 0.000 0.750

4.
ZrIn2O5: optimized geometry, GGA-PBE.

Lattice parameters (Å, degrees): 3.706 7.503 15.621 90.00 90.00 90.00
Fractional coordinates of all 32 atoms:
Zr 0.250 0.111 0.579
Zr 0.250 0.611 0.921
Zr 0.750 0.889 0.421
Zr 0.750 0.389 0.079
In 0.250 0.095 0.914
In 0.250 0.595 0.586
In 0.750 0.905 0.086
In 0.750 0.405 0.414
In 0.750 0.321 0.761
In 0.750 0.821 0.739
In 0.250 0.679 0.239
In 0.250 0.179 0.261
O 0.250 0.249 0.689
O 0.250 0.749 0.811
O 0.750 0.751 0.311
O 0.750 0.251 0.189
O 0.250 0.356 0.503
O 0.250 0.856 0.997
O 0.750 0.644 0.497
O 0.750 0.144 0.003
O 0.250 0.359 0.852
O 0.250 0.859 0.648
O 0.750 0.641 0.148
O 0.750 0.141 0.352
O 0.750 0.057 0.824
O 0.750 0.557 0.676
O 0.250 0.943 0.176
O 0.250 0.443 0.324
O 0.750 0.067 0.542
O 0.750 0.567 0.958
O 0.250 0.933 0.458
O 0.250 0.433 0.042

5.
Tm2InOs: optimized geometry, GGA-PBE.

Lattice parameters (Å, degrees): 4.981 4.981 4.981 60.00 60.00 60.00
Fractional coordinates of all 4 atoms:
Tm 0.250 0.250 0.250
Tm 0.750 0.750 0.750
In 0.500 0.500 0.500
Os 0.000 0.000 0.000

6.
InP: optimized geometry, GGA-PBE.

Lattice parameters (Å, degrees): 3.916 3.916 3.916 60.00 60.00 60.00
Fractional coordinates of all 2 atoms:
In 0.000 0.000 0.000
P 0.500 0.500 0.500

7.
InP: optimized geometry, GGA-PBE.

Lattice parameters (Å, degrees): 4.212 4.212 4.212 60.00 60.00 60.00
Fractional coordinates of all 2 atoms:
In 0.000 0.000 0.000
P 0.750 0.750 0.750

As for the largest piezoelectric modulus: 0.13 C/m².

8.
InP: optimized geometry, GGA-PBE.

Lattice parameters (Å, degrees): 4.210 4.210 6.902 90.00 90.00 120.00
Fractional coordinates of all 4 atoms:
In 0.667 0.333 0.500
In 0.333 0.667 0.000
P 0.667 0.333 0.875
P 0.333 0.667 0.375

9.
InPPd5: optimized geometry, GGA-PBE.

Lattice parameters (Å, degrees): 3.992 3.992 7.033 90.00 90.00 90.00
Fractional coordinates of all 7 atoms:
In 0.500 0.500 0.000
P 0.000 0.000 0.500
Pd 0.000 0.000 0.000
Pd 0.500 0.000 0.700
Pd 0.000 0.500 0.700
Pd 0.500 0.000 0.300
Pd 0.000 0.500 0.300

10.
InPPt5: optimized geometry, GGA-PBE.

Lattice parameters (Å, degrees): 4.000 4.000 7.077 90.00 90.00 90.00
Fractional coordinates of all 7 atoms:
In 0.500 0.500 0.000
P 0.000 0.000 0.500
Pt 0.000 0.500 0.298
Pt 0.000 0.500 0.702
Pt 0.500 0.000 0.298
Pt 0.500 0.000 0.702
Pt 0.000 0.000 0.000

11.
Rb3InP2: optimized geometry, GGA-PBE.

Lattice parameters (Å, degrees): 9.512 12.638 16.086 97.11 106.93 106.68
Fractional coordinates of all 48 atoms:
Rb 0.689 0.120 0.521
Rb 0.149 0.586 0.474
Rb 0.394 0.397 0.354
Rb 0.311 0.880 0.479
Rb 0.606 0.603 0.646
Rb 0.463 0.421 0.805
Rb 0.077 0.394 0.089
Rb 0.582 0.931 0.746
Rb 0.784 0.416 0.245
Rb 0.832 0.924 0.344
Rb 0.020 0.265 0.820
Rb 0.610 0.123 0.085
Rb 0.980 0.735 0.180
Rb 0.418 0.069 0.254
Rb 0.851 0.414 0.526
Rb 0.335 0.748 0.119
Rb 0.537 0.579 0.195
Rb 0.018 0.099 0.195
Rb 0.923 0.606 0.911
Rb 0.982 0.901 0.805
Rb 0.665 0.252 0.881
Rb 0.390 0.877 0.915
Rb 0.168 0.076 0.656
Rb 0.216 0.584 0.755
In 0.438 0.281 0.579
In 0.077 0.232 0.442
In 0.172 0.109 0.011
In 0.923 0.768 0.558
In 0.579 0.644 0.992
In 0.828 0.891 0.989
In 0.562 0.719 0.421
In 0.421 0.356 0.008
P 0.276 0.130 0.431
P 0.631 0.721 0.853
P 0.285 0.513 0.961
P 0.128 0.902 0.039
P 0.770 0.625 0.408
P 0.706 0.339 0.687
P 0.187 0.801 0.661
P 0.311 0.156 0.891
P 0.689 0.844 0.109
P 0.872 0.098 0.961
P 0.230 0.375 0.592
P 0.715 0.487 0.039
P 0.724 0.870 0.569
P 0.813 0.199 0.339
P 0.294 0.661 0.313
P 0.369 0.279 0.147

12.
Rb6InP3S14: optimized geometry, GGA-PBE.

Lattice parameters (Å, degrees): 11.575 11.575 13.384 74.20 74.20 58.28
Fractional coordinates of all 48 atoms:
Rb 0.021 0.790 0.587
Rb 0.210 0.979 0.913
Rb 0.979 0.210 0.413
Rb 0.790 0.021 0.087
Rb 0.898 0.673 0.350
Rb 0.327 0.102 0.150
Rb 0.102 0.327 0.650
Rb 0.673 0.898 0.850
Rb 0.798 0.436 0.010
Rb 0.564 0.202 0.490
Rb 0.202 0.564 0.990
Rb 0.436 0.798 0.510
In 0.366 0.634 0.250
In 0.634 0.366 0.750
P 0.274 0.342 0.329
P 0.658 0.726 0.171
P 0.726 0.658 0.671
P 0.342 0.274 0.829
P 0.058 0.942 0.250
P 0.942 0.058 0.750
S 0.133 0.786 0.161
S 0.214 0.867 0.339
S 0.867 0.214 0.839
S 0.786 0.133 0.661
S 0.472 0.441 0.132
S 0.559 0.528 0.368
S 0.528 0.559 0.868
S 0.441 0.472 0.632
S 0.244 0.495 0.401
S 0.505 0.756 0.099
S 0.756 0.505 0.599
S 0.495 0.244 0.901
S 0.133 0.405 0.238
S 0.595 0.867 0.262
S 0.867 0.595 0.762
S 0.405 0.133 0.738
S 0.831 0.696 0.067
S 0.304 0.169 0.433
S 0.169 0.304 0.933
S 0.696 0.831 0.567
S 0.726 0.522 0.260
S 0.478 0.274 0.240
S 0.274 0.478 0.740
S 0.522 0.726 0.760
S 0.030 0.120 0.152
S 0.880 0.970 0.348
S 0.970 0.880 0.848
S 0.120 0.030 0.652

13.
Sc3InP4: optimized geometry, GGA-PBE.

Lattice parameters (Å, degrees): 13.938 13.938 13.938 17.31 17.31 17.31
Fractional coordinates of all 8 atoms:
Sc 0.000 0.000 0.000
Sc 0.750 0.750 0.750
Sc 0.500 0.500 0.500
In 0.250 0.250 0.250
P 0.063 0.063 0.063
P 0.813 0.813 0.813
P 0.562 0.562 0.562
P 0.313 0.313 0.313

14.
ScInP2: optimized geometry, GGA-PBE.

Lattice parameters (Å, degrees): 4.210 4.210 5.959 90.00 90.00 90.00
Fractional coordinates of all 4 atoms:
Sc 0.000 0.000 0.000
In 0.500 0.500 0.500
P 0.000 0.500 0.247
P 0.500 0.000 0.753

15.
PaInRu2: optimized geometry, GGA-PBE.

Lattice parameters (Å, degrees): 4.734 4.734 4.734 60.00 60.00 60.00
Fractional coordinates of all 4 atoms:
Pa 0.000 0.000 0.000
In 0.500 0.500 0.500
Ru 0.250 0.250 0.250
Ru 0.750 0.750 0.750

16.
PaInTc2: optimized geometry, GGA-PBE.

Lattice parameters (Å, degrees): 4.738 4.738 4.738 60.00 60.00 60.00
Fractional coordinates of all 4 atoms:
Pa 0.000 0.000 0.000
In 0.500 0.500 0.500
Tc 0.250 0.250 0.250
Tc 0.750 0.750 0.750

17.
In3Pb: optimized geometry, GGA-PBE.

Lattice parameters (Å, degrees): 6.935 6.935 5.554 90.00 90.00 120.00
Fractional coordinates of all 8 atoms:
In 0.164 0.329 0.250
In 0.671 0.836 0.250
In 0.164 0.836 0.250
In 0.836 0.671 0.750
In 0.329 0.164 0.750
In 0.836 0.164 0.750
Pb 0.333 0.667 0.750
Pb 0.667 0.333 0.250

18.
In3Pb: optimized geometry, GGA-PBE.

Lattice parameters (Å, degrees): 5.492 5.492 5.492 60.00 60.00 60.00
Fractional coordinates of all 4 atoms:
In 0.250 0.250 0.250
In 0.750 0.750 0.750
In 0.500 0.500 0.500
Pb 0.000 0.000 0.000

In the order shown, the computed E_form values come out to -1847, -1812, -1804, -2559, -288, 30, -206, -202, -558, -429, -320, -1087, -755, -550, -370, -89, 43, -2 meV/atom.